A plane-wave DFT calculation with PBE+U was carried out for crystalline MgV2CdO6 at its relaxed geometry.

Cell: 5.573 5.573 6.993 Å, 96.20 96.20 41.39°
Fractional positions:
Mg  0.000  0.000  0.000
V  0.047  0.047  0.506
V  0.663  0.663  0.813
Cd  0.716  0.716  0.257
O  0.113  0.113  0.263
O  0.127  0.127  0.774
O  0.532  0.532  0.966
O  0.598  0.598  0.540
O  0.809  0.809  0.968
O  0.884  0.884  0.483

DFT formation energy ... -2.350 eV per atom
Distance to the lowest polymorph of the same formula ... 0.0 meV/atom
Spin magnetization ... 2.000 μB/f.u.